# YbMgRh2

An optimized crystal structure of YbMgRh2 (meta-GGA r2SCAN, the Materials Project).

Structure (CIF):
```
data_YbMgRh2
_chemical_formula_sum 'Yb4 Mg4 Rh8'
_cell_length_a 6.443
_cell_length_b 6.443
_cell_length_c 6.443
_cell_angle_alpha 90.00
_cell_angle_beta 90.00
_cell_angle_gamma 90.00
_space_group_name_H-M_alt 'F m -3 m'
_space_group_IT_number 225
_space_group_name_Hall '-F 4 2 3'
loop_
_atom_site_label
_atom_site_type_symbol
_atom_site_fract_x
_atom_site_fract_y
_atom_site_fract_z
Yb1 Yb 0.000 0.000 0.000
Mg1 Mg 0.000 0.000 0.500
Rh1 Rh 0.250 0.250 0.250
```

raw total energy: -92.3 eV/f.u.